Entry 1:
Computed, not measured: a relaxed structure of Li15Cr15SiO32 at the PBE+U level of DFT.

Total energy after the MP2020 corrections: -0.284 hartree per atom
Energy of formation from the pure elements: -2381 meV per atom
V: 9.21 Å³/atom

abc: 8.0823 8.0858 8.8739
angles: 90.11 90.01 90.01
Last column: nearest neighbours and their distance in Å.
Sites, in units of the cell vectors:
Li 0.8751 0.8746 0.7701  4 O 1.94-2.04
Li 0.8752 0.6218 0.5100  4 O 2.00-2.11
Li 0.8758 0.1285 0.5158  4 O 1.99-2.05
Li 0.6249 0.6230 0.2513  4 O 2.03-2.05
Li 0.6228 0.1250 0.2562  4 O 2.01-2.08
Li 0.6239 0.3775 0.9836  4 O 1.99-2.05
Li 0.6257 0.8731 0.0000  4 O 2.02-2.06
Li 0.3731 0.1250 0.5034  4 O 2.03-2.07
Li 0.3740 0.6247 0.5020  4 O 2.04-2.05
Li 0.3748 0.8738 0.7496  4 O 2.00-2.04
Li 0.3749 0.3766 0.7450  4 O 1.94-2.07
Li 0.1230 0.8745 0.9961  4 O 2.02-2.05
Li 0.1244 0.3763 0.9867  4 O 2.00-2.05
Li 0.1256 0.1252 0.2332  5 O 2.02-2.20
Li 0.1240 0.6232 0.2490  4 O 2.03-2.06
Cr 0.8746 0.8741 0.2454  6 O 2.02-2.06
Cr 0.8744 0.6222 0.9958  6 O 1.98-2.14
Cr 0.8743 0.3735 0.2473  6 O 1.99-2.07
Cr 0.6281 0.6220 0.7493  6 O 2.01-2.06
Cr 0.6262 0.8748 0.5012  6 O 2.02-2.04
Cr 0.6280 0.1281 0.7525  6 O 2.01-2.05
Cr 0.6264 0.3747 0.5020  6 O 2.01-2.05
Cr 0.3745 0.6247 0.9986  6 O 2.01-2.04
Cr 0.3743 0.8744 0.2507  6 O 2.02-2.03
Cr 0.3763 0.1252 0.0014  6 O 2.00-2.16
Cr 0.3747 0.3749 0.2505  6 O 2.02-2.03
Cr 0.1230 0.8757 0.5015  6 O 2.02-2.04
Cr 0.1213 0.6216 0.7494  6 O 2.01-2.07
Cr 0.1230 0.3738 0.5017  6 O 2.02-2.05
Cr 0.1221 0.1285 0.7547  6 O 2.01-2.06
Si 0.8719 0.1345 0.9981  5 O 1.76-1.92
O 0.8748 0.3707 0.4711  3 Cr 1.99-2.03, 2 Li 2.00-2.06
O 0.8752 0.1194 0.7999  1 Si 1.76
O 0.8725 0.1232 0.1991  1 Si 1.79
O 0.8737 0.3582 0.0191  1 Si 1.82, 1 Cr 2.03
O 0.8742 0.8841 0.0167  3 Li 2.02-2.19, 2 Cr 2.03-2.13, 1 Si 2.03
O 0.8746 0.6233 0.2233  3 Cr 2.02-2.04, 2 Li 2.03
O 0.8747 0.6345 0.7724  1 Li 1.94, 3 Cr 1.98-2.01
O 0.8746 0.8797 0.4728  3 Cr 2.02, 2 Li 2.05-2.11
O 0.6250 0.3729 0.2731  2 Li 2.01-2.03, 3 Cr 2.03
O 0.6406 0.1261 0.9822  1 Si 1.88, 2 Li 2.04-2.06, 1 Cr 2.04
O 0.6277 0.1248 0.5247  2 Li 2.01-2.07, 3 Cr 2.02-2.03
O 0.6142 0.3744 0.7287  1 Li 1.94, 3 Cr 2.01
O 0.6265 0.8764 0.7290  3 Cr 2.02-2.06, 2 Li 2.04
O 0.6268 0.6249 0.5214  2 Li 2.01-2.05, 3 Cr 2.02-2.03
O 0.6255 0.6238 0.9781  2 Li 1.99-2.03, 3 Cr 2.02-2.04
O 0.6250 0.8753 0.2714  2 Li 2.02-2.05, 3 Cr 2.03-2.04
O 0.3753 0.1228 0.7762  3 Cr 2.00-2.06, 2 Li 2.03-2.07
O 0.3746 0.3739 0.4777  3 Cr 2.02-2.05, 2 Li 2.03-2.04
O 0.3752 0.3734 0.0213  3 Cr 2.01-2.04, 2 Li 2.04-2.05
O 0.3757 0.1245 0.2277  3 Cr 2.01-2.03, 2 Li 2.01-2.02
O 0.3743 0.6248 0.2274  3 Cr 2.03, 2 Li 2.03-2.04
O 0.3750 0.8763 0.0218  3 Cr 2.02-2.04, 2 Li 2.04-2.05
O 0.3745 0.8758 0.4788  3 Cr 2.02-2.04, 2 Li 2.03-2.04
O 0.3747 0.6275 0.7718  2 Li 2.00-2.04, 3 Cr 2.01-2.06
O 0.1092 0.1263 0.9858  1 Si 1.92, 2 Li 2.03-2.04, 1 Cr 2.05
O 0.1240 0.3715 0.2719  2 Li 2.02-2.05, 3 Cr 2.03-2.04
O 0.1356 0.3744 0.7288  1 Li 1.94, 3 Cr 2.01-2.02
O 0.1217 0.1248 0.5285  2 Li 1.99-2.04, 3 Cr 2.01-2.03
O 0.1226 0.6249 0.5212  2 Li 2.00-2.04, 3 Cr 2.02-2.04
O 0.1235 0.8762 0.7304  3 Cr 2.03-2.07, 2 Li 2.04
O 0.1240 0.8770 0.2712  3 Cr 2.03-2.04, 2 Li 2.04-2.06
O 0.1235 0.6233 0.9785  2 Li 2.00-2.04, 3 Cr 2.02-2.04


Entry 2:
Computed, not measured: a relaxed structure of Li2FeH12S2O14 at the PBE+U level of DFT.

Total energy after the MP2020 corrections: -0.212 hartree per atom
Energy of formation from the pure elements: -1567 meV per atom
V: 9.93 Å³/atom

abc: 11.7956 5.9676 8.9298
angles: 78.26 90.00 90.00
Last column: nearest neighbours and their distance in Å.
Sites, in units of the cell vectors:
Li 0.3862 0.6944 0.1336  1 O 2.00
Li 0.8862 0.3056 0.3664  1 O 2.00
Li 0.1138 0.6944 0.6336  1 O 2.00
Li 0.6138 0.3056 0.8664  1 O 2.00
Fe 0.0000 0.0000 0.0000  6 O 2.04-2.26
Fe 0.5000 0.0000 0.5000  6 O 2.04-2.26
H 0.0612 0.3515 0.0997  1 O 0.99
H 0.8468 0.6484 0.0353  1 O 1.01
H 0.4016 0.0734 0.2179  1 O 1.00
H 0.6406 0.0978 0.2557  1 O 0.99
H 0.3076 0.9816 0.3441  1 O 0.99
H 0.1022 0.6688 0.2072  1 O 0.99
H 0.6022 0.3312 0.2928  1 O 0.99
H 0.8076 0.0184 0.1559  1 O 0.99
H 0.1406 0.9022 0.2443  1 O 0.99
H 0.9016 0.9266 0.2821  1 O 1.00
H 0.3468 0.3516 0.4647  1 O 1.01
H 0.5612 0.6485 0.4003  1 O 0.99
H 0.4388 0.3515 0.5997  1 O 0.99
H 0.6532 0.6484 0.5353  1 O 1.01
H 0.0984 0.0734 0.7179  1 O 1.00
H 0.8594 0.0978 0.7557  1 O 0.99
H 0.1924 0.9816 0.8441  1 O 0.99
H 0.3978 0.6688 0.7071  1 O 0.99
H 0.8978 0.3312 0.7929  1 O 0.99
H 0.6924 0.0184 0.6559  1 O 0.99
H 0.3594 0.9022 0.7443  1 O 0.99
H 0.5984 0.9266 0.7821  1 O 1.00
H 0.1532 0.3516 0.9647  1 O 1.01
H 0.9388 0.6485 0.9003  1 O 0.99
S 0.6278 0.7262 0.0846  4 O 1.49-1.51
S 0.1278 0.2738 0.4154  4 O 1.49-1.51
S 0.8722 0.7262 0.5846  4 O 1.49-1.51
S 0.3722 0.2738 0.9154  4 O 1.49-1.51
O 0.0734 0.3094 0.9990  2 H 0.99-1.01
O 0.4328 0.2645 0.0628  1 S 1.49, 1 H 1.65
O 0.8843 0.0525 0.1919  2 H 0.99-1.00
O 0.7252 0.5656 0.0995  1 S 1.49, 1 H 1.59
O 0.6660 0.9618 0.0964  1 S 1.50
O 0.1309 0.8216 0.1585  2 H 0.99
O 0.0444 0.3660 0.2894  1 S 1.51
O 0.5444 0.6340 0.2106  1 S 1.51
O 0.6309 0.1784 0.3415  2 H 0.99
O 0.1660 0.0382 0.4036  1 S 1.50
O 0.2252 0.4344 0.4005  1 S 1.49, 1 H 1.59
O 0.3843 0.9475 0.3081  2 H 0.99-1.00
O 0.4266 0.3094 0.4990  2 H 0.99-1.01
O 0.0672 0.2645 0.5628  1 S 1.49, 1 H 1.65
O 0.9328 0.7355 0.4372  1 S 1.49, 1 H 1.65
O 0.5734 0.6906 0.5010  2 H 0.99-1.01
O 0.6157 0.0525 0.6919  2 H 0.99-1.00
O 0.7748 0.5656 0.5995  1 S 1.49, 1 H 1.59
O 0.8340 0.9618 0.5964  1 S 1.50
O 0.3691 0.8216 0.6585  2 H 0.99
O 0.4556 0.3660 0.7894  1 S 1.51
O 0.9556 0.6340 0.7106  1 S 1.51
O 0.8691 0.1784 0.8415  2 H 0.99
O 0.3340 0.0382 0.9036  1 S 1.50
O 0.2748 0.4344 0.9005  1 S 1.49, 1 H 1.59
O 0.1157 0.9475 0.8081  2 H 0.99-1.00
O 0.5672 0.7355 0.9372  1 S 1.49, 1 H 1.65
O 0.9266 0.6906 0.0010  2 H 0.99-1.01


Entry 3:
Computed, not measured: a relaxed structure of UCrO9 at the PBE+U level of DFT.

Total energy after the MP2020 corrections: -0.265 hartree per atom
Energy of formation from the pure elements: -1248 meV per atom
V: 20.39 Å³/atom

abc: 10.2201 7.2549 12.1544
angles: 90.00 95.28 90.00
Last column: nearest neighbours and their distance in Å.
Sites, in units of the cell vectors:
U 0.3479 0.6953 0.8643  2 O 1.80-1.81
U 0.6521 0.1953 0.1357  2 O 1.80-1.81
U 0.0460 0.7081 0.3309  2 O 1.79-1.80
U 0.9540 0.2081 0.6691  2 O 1.79-1.80
Cr 0.4413 0.1902 0.8530  4 O 1.60-1.70
Cr 0.5587 0.6902 0.1470  4 O 1.60-1.70
Cr 0.1195 0.2098 0.3985  4 O 1.59-1.70
Cr 0.8805 0.7098 0.6015  4 O 1.59-1.70
O 0.0489 0.3985 0.3347  1 Cr 1.70
O 0.9511 0.8985 0.6653  1 Cr 1.70
O 0.1786 0.6898 0.8955  1 U 1.81
O 0.8214 0.1898 0.1045  1 U 1.81
O 0.1884 0.7061 0.4301  1 U 1.80
O 0.8116 0.2061 0.5699  1 U 1.80
O 0.0529 0.0182 0.3357  1 Cr 1.70
O 0.9471 0.5182 0.6643  1 Cr 1.70
O 0.3438 0.0043 0.8678  1 Cr 1.70
O 0.6562 0.5043 0.1322  1 Cr 1.70
O 0.5126 0.6993 0.8225  1 U 1.80
O 0.4874 0.1993 0.1775  1 U 1.80
O 0.5629 0.1935 0.9566  1 Cr 1.69
O 0.4371 0.6935 0.0434  1 Cr 1.69
O 0.3515 0.3869 0.8551  1 Cr 1.70
O 0.6485 0.8869 0.1449  1 Cr 1.70
O 0.5033 0.1764 0.7373  1 Cr 1.60
O 0.4967 0.6764 0.2627  1 Cr 1.60
O 0.9176 0.7098 0.2197  1 U 1.79
O 0.0824 0.2098 0.7803  1 U 1.79
O 0.0922 0.2112 0.5339  1 Cr 1.69
O 0.9078 0.7112 0.4661  1 Cr 1.69
O 0.2736 0.2135 0.3874  1 Cr 1.59
O 0.7264 0.7135 0.6126  1 Cr 1.59
O 0.2003 0.6416 0.1541  1 O 1.24
O 0.7997 0.1416 0.8459  1 O 1.24
O 0.2173 0.8108 0.1551  1 O 1.24
O 0.7827 0.3108 0.8449  1 O 1.24
O 0.3109 0.6977 0.6520  1 O 1.34
O 0.6891 0.1977 0.3480  1 O 1.34
O 0.3555 0.5396 0.6133  2 O 1.25-1.34
O 0.6445 0.0396 0.3867  2 O 1.25-1.34
O 0.0957 0.1779 0.0790  2 O 2.85-3.05
O 0.9043 0.6779 0.9210  2 O 2.85-3.05
O 0.4255 0.5514 0.5342  1 O 1.25
O 0.5745 0.0514 0.4658  1 O 1.25


Entry 4:
Computed, not measured: a relaxed structure of NaMg14FeO16 at the PBE+U level of DFT.

Total energy after the MP2020 corrections: -0.233 hartree per atom
Energy of formation from the pure elements: -2858 meV per atom
V: 9.79 Å³/atom

abc: 8.5485 8.5485 4.2889
angles: 90.00 90.00 90.00
Last column: nearest neighbours and their distance in Å.
Sites, in units of the cell vectors:
Na 0.5000 0.5000 0.0000  6 O 2.14-2.27
Mg 0.0000 0.5000 0.0000  6 O 2.00-2.23
Mg 0.5000 0.0000 0.0000  6 O 2.00-2.23
Mg 0.0000 0.2548 0.5000  6 O 2.10-2.18
Mg 0.0000 0.7452 0.5000  6 O 2.10-2.18
Mg 0.5000 0.2548 0.5000  6 O 2.10-2.18
Mg 0.5000 0.7452 0.5000  6 O 2.10-2.18
Mg 0.2548 0.0000 0.5000  6 O 2.10-2.18
Mg 0.2548 0.5000 0.5000  6 O 2.10-2.18
Mg 0.7452 0.0000 0.5000  6 O 2.10-2.18
Mg 0.7452 0.5000 0.5000  6 O 2.10-2.18
Mg 0.2556 0.2556 0.0000  6 O 2.10-2.19
Mg 0.2556 0.7444 0.0000  6 O 2.10-2.19
Mg 0.7444 0.2556 0.0000  6 O 2.10-2.19
Mg 0.7444 0.7444 0.0000  6 O 2.10-2.19
Fe 0.0000 0.0000 0.0000  6 O 2.05-2.14
O 0.2393 0.0000 0.0000  1 Fe 2.05, 5 Mg 2.15-2.23
O 0.2340 0.5000 0.0000  5 Mg 2.00-2.15
O 0.7607 0.0000 0.0000  1 Fe 2.05, 5 Mg 2.15-2.23
O 0.7660 0.5000 0.0000  5 Mg 2.00-2.15
O 0.2477 0.2477 0.5000  6 Mg 2.12-2.16
O 0.2477 0.7523 0.5000  6 Mg 2.12-2.16
O 0.7523 0.2477 0.5000  6 Mg 2.12-2.16
O 0.7523 0.7523 0.5000  6 Mg 2.12-2.16
O 0.0000 0.0000 0.5000  2 Fe 2.14, 4 Mg 2.18
O 0.0000 0.5000 0.5000  6 Mg 2.10-2.18
O 0.5000 0.0000 0.5000  6 Mg 2.10-2.18
O 0.5000 0.5000 0.5000  4 Mg 2.10, 2 Na 2.14
O 0.0000 0.2393 0.0000  1 Fe 2.05, 5 Mg 2.15-2.23
O 0.0000 0.7607 0.0000  1 Fe 2.05, 5 Mg 2.15-2.23
O 0.5000 0.2340 0.0000  5 Mg 2.00-2.15
O 0.5000 0.7660 0.0000  5 Mg 2.00-2.15


Question: Which of these has the lowest energy of formation from the pure elements?
Answer: NaMg14FeO16


Question: Number 4 is which compound?
Answer: NaMg14FeO16


Question: What is the formula in the third record?
Answer: UCrO9


Question: Number 3 is which compound?
Answer: UCrO9